# 1
DFT (GGA-PBE) results for K3PrP2O8 after structural relaxation.

ρ: 3.55 g/cm3
Formation enthalpy at 0 K: -2968 meV per atom
Total moment: 0.00 μB per formula unit

```
K3PrP2O8
1.0
7.5680 0.0000 0.0000
0.0000 5.7229 0.0000
-0.1509 0.0000 9.6763
K Pr P O
6 2 4 16
direct
0.0076 0.2500 0.1909
0.1389 0.7500 0.4060
0.2959 0.2500 0.9170
0.7041 0.7500 0.0830
0.8611 0.2500 0.5940
0.9924 0.7500 0.8091
0.4932 0.7500 0.7075
0.5068 0.2500 0.2925
0.2648 0.7500 0.0856
0.3019 0.2500 0.5743
0.6981 0.7500 0.4257
0.7352 0.2500 0.9144
0.0629 0.7500 0.0997
0.2164 0.2500 0.4262
0.2446 0.0274 0.6547
0.2446 0.4726 0.6547
0.3197 0.7500 0.9307
0.3438 0.5280 0.1580
0.3438 0.9720 0.1580
0.4948 0.7500 0.4446
0.5052 0.2500 0.5554
0.6562 0.0280 0.8420
0.6562 0.4720 0.8420
0.6803 0.2500 0.0693
0.7554 0.5274 0.3453
0.7554 0.9726 0.3453
0.7836 0.7500 0.5738
0.9371 0.2500 0.9003
```



# 2
DFT (GGA-PBE) results for K2PSO8 after structural relaxation.

ρ: 2.15 g/cm3
Formation enthalpy at 0 K: -1952 meV per atom
Total moment: 3.00 μB per formula unit

```
K2PSO8
1.0
7.2059 0.0000 0.0000
0.8841 7.3412 0.0000
0.0938 -0.0035 7.8789
K P S O
4 2 2 16
direct
0.0876 0.2716 0.3019
0.4104 0.2297 0.8050
0.5896 0.7703 0.1950
0.9124 0.7284 0.6981
0.4068 0.7508 0.7024
0.5932 0.2492 0.2976
0.0947 0.7457 0.2010
0.9053 0.2543 0.7990
0.0191 0.3230 0.6594
0.0292 0.1844 0.9417
0.1886 0.9025 0.2607
0.2346 0.5956 0.1397
0.2649 0.9047 0.6292
0.3032 0.5964 0.7755
0.4665 0.3151 0.4504
0.4782 0.1781 0.1544
0.5218 0.8219 0.8456
0.5335 0.6849 0.5496
0.6968 0.4036 0.2245
0.7351 0.0953 0.3708
0.7654 0.4044 0.8603
0.8114 0.0975 0.7393
0.9708 0.8156 0.0583
0.9809 0.6770 0.3406
```



# 3
DFT (GGA-PBE) results for KSb2PS2O12 after structural relaxation.

ρ: 3.48 g/cm3
Formation enthalpy at 0 K: -2102 meV per atom
Total moment: 0.04 μB per formula unit

```
KSb2PS2O12
1.0
5.2311 0.0000 0.0000
0.4640 8.1444 0.0000
0.4794 1.6954 12.7499
K Sb P S O
2 4 2 4 24
direct
0.2271 0.3382 0.1493
0.7729 0.6618 0.8507
0.2803 0.2368 0.4631
0.3137 0.1974 0.8300
0.6863 0.8026 0.1700
0.7197 0.7632 0.5369
0.2344 0.5325 0.6421
0.7656 0.4675 0.3579
0.2064 0.8910 0.3399
0.2410 0.7843 0.0204
0.7590 0.2157 0.9796
0.7936 0.1090 0.6601
0.0029 0.6964 0.0606
0.0125 0.3523 0.3612
0.0682 0.1075 0.6855
0.2141 0.4272 0.7517
0.2351 0.8336 0.4539
0.2473 0.9470 0.0570
0.2497 0.4338 0.5487
0.2693 0.7845 0.9072
0.3128 0.0568 0.3114
0.3540 0.7671 0.2791
0.4675 0.6730 0.0722
0.4749 0.6357 0.6425
0.5251 0.3643 0.3575
0.5325 0.3270 0.9278
0.6460 0.2329 0.7209
0.6872 0.9432 0.6886
0.7307 0.2155 0.0928
0.7503 0.5662 0.4513
0.7527 0.0530 0.9430
0.7649 0.1664 0.5461
0.7859 0.5728 0.2483
0.9318 0.8925 0.3145
0.9875 0.6477 0.6388
0.9971 0.3036 0.9394
```



# 4
DFT (GGA-PBE) results for KSbP2O8 after structural relaxation.

ρ: 3.31 g/cm3
Formation enthalpy at 0 K: -2459 meV per atom
Total moment: 0.00 μB per formula unit

```
KSbP2O8
1.0
2.4270 1.4012 8.6155
-2.4270 1.4012 8.6155
0.0000 -2.8025 8.6155
K Sb P O
1 1 2 8
direct
0.0000 0.0000 0.0000
0.5000 0.5000 0.5000
0.2352 0.2352 0.2352
0.7648 0.7648 0.7648
0.1035 0.7569 0.5015
0.2431 0.4985 0.8965
0.2928 0.2928 0.2928
0.4985 0.8965 0.2431
0.5015 0.1035 0.7569
0.7072 0.7072 0.7072
0.7569 0.5015 0.1035
0.8965 0.2431 0.4985
```



# 5
DFT (GGA-PBE) results for K2SnP2O7 after structural relaxation.

ρ: 3.02 g/cm3
Formation enthalpy at 0 K: -2550 meV per atom
Total moment: 0.00 μB per formula unit

```
K2SnP2O7
1.0
10.0209 0.0000 0.0000
0.0000 6.8821 0.0000
-6.2038 0.0000 11.8437
K Sn P O
8 4 8 28
direct
0.0153 0.1290 0.1469
0.0153 0.3710 0.6469
0.4789 0.6468 0.6599
0.4789 0.8532 0.1599
0.5211 0.1468 0.8401
0.5211 0.3532 0.3401
0.9847 0.6290 0.3531
0.9847 0.8710 0.8531
0.2480 0.1527 0.4950
0.2480 0.3473 0.9950
0.7520 0.6527 0.0050
0.7520 0.8473 0.5050
0.1377 0.6326 0.1494
0.1377 0.8674 0.6494
0.3486 0.6410 0.8554
0.3486 0.8590 0.3554
0.6514 0.1410 0.6446
0.6514 0.3590 0.1446
0.8623 0.1326 0.3506
0.8623 0.3674 0.8506
0.0040 0.0244 0.3638
0.0040 0.4756 0.8638
0.1102 0.6904 0.5760
0.1102 0.8096 0.0760
0.2143 0.7008 0.2830
0.2143 0.7992 0.7830
0.2545 0.0122 0.6439
0.2545 0.4878 0.1439
0.3199 0.0483 0.2912
0.3199 0.4517 0.7912
0.3323 0.6206 0.9655
0.3323 0.8794 0.4655
0.4957 0.7456 0.8784
0.4957 0.7544 0.3784
0.5043 0.2456 0.6216
0.5043 0.2544 0.1216
0.6677 0.1206 0.5345
0.6677 0.3794 0.0345
0.6801 0.5483 0.2088
0.6801 0.9517 0.7088
0.7455 0.5122 0.8561
0.7455 0.9878 0.3561
0.7857 0.2008 0.2170
0.7857 0.2992 0.7170
0.8898 0.1904 0.9240
0.8898 0.3096 0.4240
0.9960 0.5244 0.1362
0.9960 0.9756 0.6362
```



# 6
DFT (GGA-PBE) results for K4TiSn3P4O20 after structural relaxation.

ρ: 3.51 g/cm3
Formation enthalpy at 0 K: -2644 meV per atom
Total moment: 0.00 μB per formula unit

```
K4TiSn3P4O20
1.0
6.5880 0.0000 0.0000
0.0000 10.8677 0.0000
-0.0135 0.0000 13.2816
K Ti Sn P O
8 2 6 8 40
direct
0.1953 0.0000 0.1100
0.2226 0.2420 0.8746
0.2766 0.2413 0.3788
0.3028 0.9991 0.6055
0.6972 0.4991 0.3945
0.7234 0.7413 0.6212
0.7774 0.7420 0.1254
0.8047 0.5000 0.8900
0.0025 0.4382 0.6306
0.9975 0.9382 0.3694
0.2478 0.6885 0.7503
0.2570 0.6881 0.2547
0.4985 0.4384 0.1273
0.5015 0.9384 0.8727
0.7430 0.1881 0.7453
0.7522 0.1885 0.2497
0.0021 0.4407 0.1765
0.1551 0.6889 0.4995
0.3387 0.6888 0.9997
0.4979 0.4409 0.6770
0.5021 0.9409 0.3230
0.6613 0.1888 0.0003
0.8449 0.1889 0.5005
0.9979 0.9407 0.8235
0.0121 0.5777 0.5159
0.0261 0.5647 0.7229
0.0258 0.8068 0.4834
0.0279 0.5543 0.2467
0.0286 0.8299 0.7511
0.0415 0.8204 0.2732
0.1820 0.9642 0.8940
0.1851 0.4173 0.1065
0.1981 0.6658 0.9080
0.2013 0.7098 0.0931
0.2967 0.7114 0.5924
0.3011 0.6639 0.4094
0.3051 0.4201 0.6127
0.3137 0.9619 0.3904
0.4688 0.8130 0.7641
0.4713 0.8304 0.2498
0.4739 0.5539 0.7485
0.4752 0.8057 0.9877
0.4872 0.5780 0.0132
0.4885 0.5752 0.2290
0.5115 0.0752 0.7710
0.5128 0.0780 0.9868
0.5248 0.3057 0.0123
0.5261 0.0539 0.2515
0.5287 0.3304 0.7502
0.5312 0.3130 0.2359
0.6863 0.4619 0.6096
0.6949 0.9201 0.3873
0.6989 0.1639 0.5906
0.7033 0.2114 0.4076
0.7987 0.2098 0.9069
0.8019 0.1658 0.0920
0.8149 0.9173 0.8935
0.8180 0.4642 0.1060
0.9585 0.3204 0.7268
0.9714 0.3299 0.2489
0.9721 0.0543 0.7533
0.9739 0.0647 0.2771
0.9742 0.3068 0.5166
0.9879 0.0777 0.4841
```



# 7
DFT (GGA-PBE) results for K2SrP2O7 after structural relaxation.

ρ: 2.92 g/cm3
Formation enthalpy at 0 K: -2924 meV per atom
Total moment: 0.00 μB per formula unit

```
K2SrP2O7
1.0
9.2877 0.0000 0.0000
0.0000 5.7965 0.0000
-4.0800 0.0000 14.3784
K Sr P O
8 4 8 28
direct
0.0318 0.2336 0.1135
0.0318 0.2664 0.6135
0.4657 0.2382 0.6637
0.4657 0.2618 0.1637
0.5343 0.7382 0.8363
0.5343 0.7618 0.3363
0.9682 0.7336 0.3865
0.9682 0.7664 0.8865
0.2632 0.2263 0.3675
0.2632 0.2737 0.8675
0.7368 0.7263 0.1325
0.7368 0.7737 0.6325
0.1811 0.7312 0.1938
0.1811 0.7688 0.6938
0.3088 0.6999 0.5344
0.3088 0.8001 0.0344
0.6912 0.1999 0.9656
0.6912 0.3001 0.4656
0.8189 0.2312 0.3062
0.8189 0.2688 0.8062
0.0139 0.7283 0.1872
0.0139 0.7717 0.6872
0.1805 0.6996 0.0830
0.1805 0.8004 0.5830
0.2580 0.5390 0.7282
0.2580 0.9610 0.2282
0.2658 0.0548 0.0130
0.2658 0.4452 0.5130
0.2656 0.5195 0.2431
0.2656 0.9805 0.7431
0.2829 0.6554 0.9458
0.2829 0.8446 0.4458
0.4613 0.7345 0.6047
0.4613 0.7655 0.1047
0.5387 0.2345 0.8953
0.5387 0.2655 0.3953
0.7171 0.1554 0.5542
0.7171 0.3446 0.0542
0.7344 0.0195 0.2569
0.7344 0.4805 0.7569
0.7342 0.5548 0.4870
0.7342 0.9452 0.9870
0.7420 0.0390 0.7718
0.7420 0.4610 0.2718
0.8195 0.1996 0.4170
0.8195 0.3004 0.9170
0.9861 0.2283 0.3128
0.9861 0.2717 0.8128
```



# 8
DFT (GGA-PBE) results for KTaP2O8 after structural relaxation.

ρ: 3.63 g/cm3
Formation enthalpy at 0 K: -2935 meV per atom
Total moment: 0.00 μB per formula unit

```
KTaP2O8
1.0
4.2702 -2.6530 0.0000
4.2702 2.6530 0.0000
-0.5896 0.0000 8.2771
K Ta P O
1 1 2 8
direct
0.0000 0.0000 0.0000
0.0000 0.0000 0.5000
0.3642 0.3642 0.7056
0.6358 0.6358 0.2944
0.2227 0.2227 0.5727
0.2289 0.7017 0.6651
0.2983 0.7711 0.3349
0.3173 0.3173 0.8745
0.6827 0.6827 0.1255
0.7017 0.2289 0.6651
0.7711 0.2983 0.3349
0.7773 0.7773 0.4273
```



> Look up the ρ of the second one.

2.15 g/cm3



> Which value of ρ does entry 8 give?

3.63 g/cm3



Repeat the third record exactly.
DFT (GGA-PBE) results for KSb2PS2O12 after structural relaxation.

ρ: 3.48 g/cm3
Formation enthalpy at 0 K: -2102 meV per atom
Total moment: 0.04 μB per formula unit

```
KSb2PS2O12
1.0
5.2311 0.0000 0.0000
0.4640 8.1444 0.0000
0.4794 1.6954 12.7499
K Sb P S O
2 4 2 4 24
direct
0.2271 0.3382 0.1493
0.7729 0.6618 0.8507
0.2803 0.2368 0.4631
0.3137 0.1974 0.8300
0.6863 0.8026 0.1700
0.7197 0.7632 0.5369
0.2344 0.5325 0.6421
0.7656 0.4675 0.3579
0.2064 0.8910 0.3399
0.2410 0.7843 0.0204
0.7590 0.2157 0.9796
0.7936 0.1090 0.6601
0.0029 0.6964 0.0606
0.0125 0.3523 0.3612
0.0682 0.1075 0.6855
0.2141 0.4272 0.7517
0.2351 0.8336 0.4539
0.2473 0.9470 0.0570
0.2497 0.4338 0.5487
0.2693 0.7845 0.9072
0.3128 0.0568 0.3114
0.3540 0.7671 0.2791
0.4675 0.6730 0.0722
0.4749 0.6357 0.6425
0.5251 0.3643 0.3575
0.5325 0.3270 0.9278
0.6460 0.2329 0.7209
0.6872 0.9432 0.6886
0.7307 0.2155 0.0928
0.7503 0.5662 0.4513
0.7527 0.0530 0.9430
0.7649 0.1664 0.5461
0.7859 0.5728 0.2483
0.9318 0.8925 0.3145
0.9875 0.6477 0.6388
0.9971 0.3036 0.9394
```